# PBE with a Hubbard U SrLaCoO4, optimized geometry
data_SrLaCoO4
_chemical_formula_sum 'Sr8 La8 Co8 O32'
_cell_length_a 5.4498
_cell_length_b 5.4683
_cell_length_c 25.4896
_cell_angle_alpha 90.00
_cell_angle_beta 90.00
_cell_angle_gamma 90.00
_symmetry_space_group_name_H-M 'I b a 2'
_symmetry_Int_Tables_number 45
loop_
_symmetry_equiv_pos_as_xyz
'x,y,z'
'-x,-y,z'
'-x,y,z+1/2'
'x,-y,z+1/2'
'x+1/2,y+1/2,z+1/2'
'-x+1/2,-y+1/2,z+1/2'
'-x+1/2,y+1/2,z'
'x+1/2,-y+1/2,z'
loop_
_atom_site_label
_atom_site_fract_x
_atom_site_fract_y
_atom_site_fract_z
Sr1 0.0000 0.0000 0.0000
Sr2 0.0000 0.5000 0.2499
La1 0.0000 0.0000 0.1426
La2 0.0000 0.5000 0.3926
Co1 0.0000 0.0000 0.3195
Co2 0.0000 0.5000 0.0694
O1 0.0000 0.0000 0.2343
O2 0.0000 0.0000 0.4046
O3 0.0000 0.5000 0.1545
O4 0.0000 0.5000 0.4843
O5 0.2410 0.2417 0.3239
O6 0.2412 0.2577 0.0738
# **Polymorph energy (0 for the lowest one)**: 0 meV/atom
# **Size of the total moment**: 0.000 μB per atom
# **Energy relative to the elements**: -2.768 eV/atom
# **Crystal system**: orthorhombic

---

# PBE with a Hubbard U SrLa2Co3O9, optimized geometry
data_SrLa2Co3O9
_chemical_formula_sum 'Sr2 La4 Co6 O18'
_cell_length_a 5.4353
_cell_length_b 5.4786
_cell_length_c 13.4672
_cell_angle_alpha 90.96
_cell_angle_beta 90.04
_cell_angle_gamma 119.71
_symmetry_space_group_name_H-M 'P 1'
_symmetry_Int_Tables_number 1
loop_
_symmetry_equiv_pos_as_xyz
'x,y,z'
loop_
_atom_site_label
_atom_site_fract_x
_atom_site_fract_y
_atom_site_fract_z
Sr1 0.0000 0.0000 0.0000
Sr2 0.0040 0.9991 0.5004
La1 0.3370 0.6703 0.8312
La2 0.3378 0.6683 0.3310
La3 0.6688 0.3299 0.1682
La4 0.6689 0.3316 0.6688
Co1 0.0033 0.0009 0.7502
Co2 0.0038 0.9994 0.2503
Co3 0.3328 0.6660 0.0807
Co4 0.3374 0.6659 0.5805
Co5 0.6664 0.3336 0.9194
Co6 0.6712 0.3321 0.4194
O1 0.0080 0.4993 0.5060
O2 0.1599 0.8185 0.1694
O3 0.1607 0.3241 0.1716
O4 0.1696 0.3270 0.6727
O5 0.1780 0.8379 0.6760
O6 0.3416 0.1802 0.8309
O7 0.3448 0.1658 0.3232
O8 0.4930 0.5037 0.0030
O9 0.4953 0.0000 0.0003
O10 0.5050 0.9956 0.4985
O11 0.5074 0.4934 0.4968
O12 0.6633 0.8337 0.1768
O13 0.6649 0.8215 0.6691
O14 0.8302 0.1653 0.8248
O15 0.8377 0.6750 0.8282
O16 0.8471 0.6742 0.3289
O17 0.8493 0.1815 0.3318
O18 0.9882 0.4969 0.9979
# **Polymorph energy (0 for the lowest one)**: 1 meV/atom
# **Size of the total moment**: 0.002 μB per atom
# **Energy relative to the elements**: -2.401 eV/atom
# **Crystal system**: triclinic

---

# PBE with a Hubbard U SrLaCoO4, optimized geometry
data_SrLaCoO4
_chemical_formula_sum 'Sr4 La4 Co4 O16'
_cell_length_a 6.9455
_cell_length_b 7.7023
_cell_length_c 8.6440
_cell_angle_alpha 116.41
_cell_angle_beta 97.25
_cell_angle_gamma 106.11
_symmetry_space_group_name_H-M 'P 1'
_symmetry_Int_Tables_number 1
loop_
_symmetry_equiv_pos_as_xyz
'x,y,z'
loop_
_atom_site_label
_atom_site_fract_x
_atom_site_fract_y
_atom_site_fract_z
Sr1 0.0000 0.0000 0.0000
Sr2 0.0004 0.2528 0.5006
Sr3 0.0021 0.7482 0.4997
Sr4 0.9988 0.4991 0.9984
La1 0.5676 0.4654 0.6419
La2 0.5688 0.9601 0.6408
La3 0.5718 0.2144 0.1424
La4 0.5726 0.7150 0.1435
Co1 0.2764 0.4772 0.3161
Co2 0.2775 0.2295 0.8202
Co3 0.2769 0.7303 0.8214
Co4 0.2772 0.9783 0.3176
O1 0.2929 0.3554 0.0638
O2 0.2933 0.4926 0.8246
O3 0.2933 0.8642 0.0818
O4 0.2935 0.1101 0.5731
O5 0.2946 0.2415 0.3219
O6 0.2952 0.7280 0.3216
O7 0.2954 0.9797 0.8249
O8 0.3099 0.6162 0.5770
O9 0.6161 0.3561 0.9029
O10 0.6169 0.1067 0.4046
O11 0.6202 0.8616 0.9138
O12 0.6211 0.6034 0.3957
O13 0.9360 0.6028 0.7350
O14 0.9377 0.0994 0.7320
O15 0.9384 0.3513 0.2328
O16 0.9401 0.8536 0.2367
# **Polymorph energy (0 for the lowest one)**: 11 meV/atom
# **Size of the total moment**: 0.000 μB per atom
# **Energy relative to the elements**: -2.756 eV/atom
# **Crystal system**: triclinic

---

Q: Which of these has the lowest polymorph energy (0 for the lowest one)?
A: number 1

---

Q: Which formula does entry 3 have?
A: SrLaCoO4